No. 1
The following is a DFT calculation (PBE) of an optimized crystal structure of ThMn2Ni3.

```
ThMn2Ni3
1.0
5.067 0.000 0.000
-2.534 4.388 0.000
0.000 0.000 3.985
Th Mn Ni
1 2 3
direct
0.000 0.000 0.000 Th
0.333 0.667 0.000 Mn
0.667 0.333 0.000 Mn
0.000 0.500 0.500 Ni
0.500 0.000 0.500 Ni
0.500 0.500 0.500 Ni
```

Computed properties:
Space-group type: P6/mmm, No. 191
Energy of formation: -21.5 kJ/mol of atoms

No. 2
The following is a DFT calculation (PBE) of an optimized crystal structure of Ti2MnNi.

```
Ti2MnNi
1.0
0.000 2.979 2.979
2.979 0.000 2.979
2.979 2.979 0.000
Ti Mn Ni
2 1 1
direct
0.250 0.250 0.250 Ti
0.750 0.750 0.750 Ti
0.000 0.000 0.000 Mn
0.500 0.500 0.500 Ni
```

Computed properties:
Space-group type: Fm-3m, No. 225
Energy of formation: -32.7 kJ/mol of atoms

No. 3
The following is a DFT calculation (PBE) of an optimized crystal structure of MnVNi.

```
MnVNi
1.0
0.000 2.737 2.737
2.737 0.000 2.737
2.737 2.737 0.000
Mn V Ni
1 1 1
direct
0.000 0.000 0.000 Mn
0.250 0.250 0.250 V
0.750 0.750 0.750 Ni
```

Computed properties:
Space-group type: F-43m, No. 216
Energy of formation: 56.8 kJ/mol of atoms

No. 4
The following is a DFT calculation (PBE) of an optimized crystal structure of YMnNi4.

```
YMnNi4
1.0
0.000 3.472 3.472
3.472 0.000 3.472
3.472 3.472 0.000
Y Mn Ni
1 1 4
direct
0.000 0.000 0.000 Y
0.250 0.250 0.250 Mn
0.127 0.624 0.624 Ni
0.624 0.127 0.624 Ni
0.624 0.624 0.127 Ni
0.624 0.624 0.624 Ni
```

Computed properties:
Space-group type: F-43m, No. 216
Energy of formation: -25.7 kJ/mol of atoms

No. 5
The following is a DFT calculation (PBE) of an optimized crystal structure of Zr3Mn2Ni4.

```
Zr3Mn2Ni4
1.0
4.949 0.000 0.000
-2.456 4.341 0.000
-0.041 -0.023 12.261
Zr Mn Ni
6 4 8
direct
0.002 0.004 0.124 Zr
0.331 0.670 0.457 Zr
0.336 0.664 0.209 Zr
0.664 0.336 0.791 Zr
0.669 0.330 0.543 Zr
0.998 0.996 0.876 Zr
0.000 0.500 0.000 Mn
0.168 0.833 0.666 Mn
0.500 0.500 0.000 Mn
0.832 0.167 0.334 Mn
0.000 0.000 0.500 Ni
0.168 0.334 0.666 Ni
0.332 0.167 0.334 Ni
0.333 0.667 0.834 Ni
0.500 0.000 0.000 Ni
0.667 0.333 0.166 Ni
0.668 0.833 0.666 Ni
0.832 0.666 0.334 Ni
```

Computed properties:
Space-group type: P-1, No. 2
Energy of formation: -31.2 kJ/mol of atoms

No. 6
The following is a DFT calculation (PBE) of an optimized crystal structure of MnOs3.

```
MnOs3
1.0
5.419 0.000 0.000
-2.709 4.693 0.000
0.000 0.000 4.266
Mn Os
2 6
direct
0.333 0.667 0.250 Mn
0.667 0.333 0.750 Mn
0.171 0.341 0.750 Os
0.171 0.829 0.750 Os
0.341 0.171 0.250 Os
0.659 0.829 0.750 Os
0.829 0.171 0.250 Os
0.829 0.659 0.250 Os
```

Computed properties:
Space-group type: P6_3/mmc, No. 194
Energy of formation: -3.1 kJ/mol of atoms

No. 7
The following is a DFT calculation (PBE) of an optimized crystal structure of MnTcOs.

```
MnTcOs
1.0
0.000 2.921 2.921
2.921 0.000 2.921
2.921 2.921 0.000
Mn Tc Os
1 1 1
direct
0.000 0.000 0.000 Mn
0.250 0.250 0.250 Tc
0.500 0.500 0.500 Os
```

Computed properties:
Space-group type: F-43m, No. 216
Energy of formation: 62.8 kJ/mol of atoms

No. 8
The following is a DFT calculation (PBE) of an optimized crystal structure of MnV2Os.

```
MnV2Os
1.0
0.000 2.958 2.958
2.958 0.000 2.958
2.958 2.958 0.000
Mn V Os
1 2 1
direct
0.000 0.000 0.000 Mn
0.250 0.250 0.250 V
0.750 0.750 0.750 V
0.500 0.500 0.500 Os
```

Computed properties:
Space-group type: Fm-3m, No. 225
Energy of formation: -27.8 kJ/mol of atoms